(1)
Material: BaNdZr2O6
Method: DFT, PBE-GGA
State: optimized geometry

Values from the calculation:
Space group = Cmmm, No. 65
Offset from the most stable computed form = 0.0 meV/atom

Cell lengths 5.858, 5.858, 4.281 Å; angles 90.00, 90.00, 91.42 degrees
Positions (direct):
1 Ba 0.000 0.000 0.000
2 Nd 0.500 0.500 0.000
3 Zr 0.000 0.500 0.500
4 Zr 0.500 0.000 0.500
5 O 0.000 0.500 0.000
6 O 0.196 0.804 0.500
7 O 0.319 0.319 0.500
8 O 0.500 0.000 0.000
9 O 0.681 0.681 0.500
10 O 0.804 0.196 0.500


(2)
Material: BaNdZr2O6
Method: DFT, PBE-GGA
State: optimized geometry

Values from the calculation:
Space group = Pmmm, No. 47
Offset from the most stable computed form = 36.2 meV/atom

Cell lengths 8.394, 8.407, 8.429 Å; angles 90.00, 90.00, 90.00 degrees
Positions (direct):
1 Ba 0.000 0.000 0.000
2 Ba 0.000 0.500 0.000
3 Ba 0.500 0.000 0.000
4 Ba 0.500 0.500 0.500
5 Nd 0.000 0.000 0.500
6 Nd 0.000 0.500 0.500
7 Nd 0.500 0.000 0.500
8 Nd 0.500 0.500 0.000
9 Zr 0.251 0.251 0.253
10 Zr 0.251 0.251 0.747
11 Zr 0.251 0.749 0.253
12 Zr 0.251 0.749 0.747
13 Zr 0.749 0.251 0.253
14 Zr 0.749 0.251 0.747
15 Zr 0.749 0.749 0.253
16 Zr 0.749 0.749 0.747
17 O 0.000 0.248 0.267
18 O 0.000 0.248 0.733
19 O 0.000 0.752 0.267
20 O 0.000 0.752 0.733
21 O 0.244 0.500 0.261
22 O 0.244 0.500 0.739
23 O 0.245 0.245 0.500
24 O 0.245 0.755 0.500
25 O 0.248 0.000 0.267
26 O 0.248 0.000 0.733
27 O 0.257 0.257 0.000
28 O 0.257 0.743 0.000
29 O 0.500 0.244 0.261
30 O 0.500 0.244 0.739
31 O 0.500 0.756 0.261
32 O 0.500 0.756 0.739
33 O 0.743 0.257 0.000
34 O 0.743 0.743 0.000
35 O 0.752 0.000 0.267
36 O 0.752 0.000 0.733
37 O 0.755 0.245 0.500
38 O 0.755 0.755 0.500
39 O 0.756 0.500 0.261
40 O 0.756 0.500 0.739


(3)
Material: BaNdZr2O6
Method: DFT, PBE-GGA
State: optimized geometry

Values from the calculation:
Space group = P4/mmm, No. 123
Offset from the most stable computed form = 25.8 meV/atom

Cell lengths 4.220, 4.220, 8.385 Å; angles 90.00, 90.00, 90.00 degrees
Positions (direct):
1 Ba 0.000 0.000 0.000
2 Nd 0.000 0.000 0.500
3 Zr 0.500 0.500 0.256
4 Zr 0.500 0.500 0.744
5 O 0.000 0.500 0.273
6 O 0.000 0.500 0.727
7 O 0.500 0.000 0.273
8 O 0.500 0.000 0.727
9 O 0.500 0.500 0.000
10 O 0.500 0.500 0.500


(4)
Material: Ba9Nd2S12
Method: DFT, PBE-GGA
State: optimized geometry

Values from the calculation:
Space group = C2/m, No. 12

Cell lengths 7.759, 7.759, 14.758 Å; angles 95.03, 95.03, 119.97 degrees
Positions (direct):
1 Ba 0.000 0.000 0.000
2 Ba 0.098 0.421 0.261
3 Ba 0.259 0.259 0.739
4 Ba 0.331 0.669 0.000
5 Ba 0.421 0.098 0.261
6 Ba 0.579 0.902 0.739
7 Ba 0.669 0.331 0.000
8 Ba 0.741 0.741 0.261
9 Ba 0.902 0.579 0.739
10 Nd 0.167 0.833 0.500
11 Nd 0.833 0.167 0.500
12 S 0.043 0.709 0.131
13 S 0.094 0.094 0.390
14 S 0.168 0.537 0.609
15 S 0.291 0.957 0.869
16 S 0.375 0.375 0.127
17 S 0.463 0.832 0.391
18 S 0.537 0.168 0.609
19 S 0.625 0.625 0.873
20 S 0.709 0.043 0.131
21 S 0.832 0.463 0.391
22 S 0.906 0.906 0.610
23 S 0.957 0.291 0.869


| no. | total moment (μB/cell) | uncorrected energy (eV/atom) | ΔE_f (eV per atom) |
| --- | --- | --- | --- |
| 1 | 0.0 | -8.44 | -3.50 |
| 2 | 0.0 | -8.40 | -3.46 |
| 3 | 0.0 | -8.41 | -3.48 |
| 4 | 0.0 | -5.36 | -2.30 |